The following is a DFT calculation (PBE+U) of Na2MgMn4O8 after structural relaxation.

Geometry as CIF:
```
data_Na2MgMn4O8
_chemical_formula_sum 'Na2 Mg1 Mn4 O8'
_cell_length_a 3.063
_cell_length_b 6.126
_cell_length_c 11.061
_cell_angle_alpha 82.80
_cell_angle_beta 98.75
_cell_angle_gamma 61.28
_symmetry_space_group_name_H-M 'P 1'
_symmetry_Int_Tables_number 1
_symmetry_space_group_name_Hall 'P 1'
loop_
_atom_site_label
_atom_site_type_symbol
_atom_site_fract_x
_atom_site_fract_y
_atom_site_fract_z
O1 O 0.165 0.052 0.916
O2 O 0.237 0.462 0.764
Mn1 Mn 0.519 0.302 0.945
Na1 Na 0.790 0.869 0.810
O3 O 0.911 0.525 0.002
Mn2 Mn 0.222 0.748 0.339
Na2 Na 0.224 0.250 0.210
O4 O 0.865 0.035 0.119
O5 O 0.178 0.937 0.623
O6 O 0.662 0.399 0.500
O7 O 0.576 0.930 0.396
Mn3 Mn 0.431 0.143 0.537
Mg1 Mg 0.591 0.551 0.657
O8 O 0.794 0.620 0.253
Mn4 Mn 0.502 0.814 0.074
```

Values from the calculation:
The energy relative to the lowest polymorph listed for this composition comes out at 2.3 kJ/mol of atoms. For the formation energy from the elements, the calculation gives -198.4 kJ per mole of atoms.

=====

The following is a DFT calculation (PBE+U) of Na2MgMn4O8 after structural relaxation.

Geometry as CIF:
```
data_Na2MgMn4O8
_chemical_formula_sum 'Na2 Mg1 Mn4 O8'
_cell_length_a 5.880
_cell_length_b 7.588
_cell_length_c 5.880
_cell_angle_alpha 67.21
_cell_angle_beta 90.00
_cell_angle_gamma 112.79
_symmetry_space_group_name_H-M 'P 1'
_symmetry_Int_Tables_number 1
_symmetry_space_group_name_Hall 'P 1'
loop_
_atom_site_label
_atom_site_type_symbol
_atom_site_fract_x
_atom_site_fract_y
_atom_site_fract_z
Mg1 Mg 0.500 0.000 0.500
O1 O 0.163 0.325 0.559
Mn1 Mn 0.919 0.335 0.333
Na1 Na 0.000 0.000 0.000
O2 O 0.583 0.750 0.625
Mn2 Mn 0.333 0.665 0.919
O3 O 0.625 0.250 0.167
Mn3 Mn 0.416 0.335 0.333
O4 O 0.167 0.750 0.625
O5 O 0.116 0.675 0.163
O6 O 0.625 0.250 0.583
Na2 Na 0.750 0.500 0.750
O7 O 0.163 0.325 0.116
O8 O 0.559 0.675 0.163
Mn4 Mn 0.333 0.665 0.416
```

Values from the calculation:
The energy relative to the lowest polymorph listed for this composition comes out at 18.4 kJ/mol of atoms. For the formation energy from the elements, the calculation gives -182.3 kJ per mole of atoms.

=====

no.,energy with MP2020 corrections (eV per atom)
1,-7.421
2,-7.254